Record 1
An optimized crystal structure of Ti17CuP12, computed with PBE-GGA.

## Properties
ΔE_f, eV per atom: -1.12

Geometry as CIF:
```
data_Ti17CuP12
_chemical_formula_sum 'Ti68 Cu4 P48'
_symmetry_space_group_name_H-M 'P 1 2/m 1'
_symmetry_Int_Tables_number 10
_cell_length_a 9.416
_cell_length_b 3.438
_cell_length_c 55.821
_cell_angle_alpha 90.00
_cell_angle_beta 90.16
_cell_angle_gamma 90.00
loop_
_symmetry_equiv_pos_as_xyz
'x,y,z'
'-x,-y,-z'
'-x,y,-z'
'x,-y,z'
loop_
_atom_site_label
_atom_site_fract_x
_atom_site_fract_y
_atom_site_fract_z
_atom_site_occupancy
Ti1 0.000 0.000 0.000 1
Ti2 0.000 0.000 0.333 1
Ti3 0.000 0.500 0.167 1
Ti4 0.009 0.000 0.090 1
Ti5 0.009 0.000 0.424 1
Ti6 0.009 0.000 0.756 1
Ti7 0.103 0.500 0.048 1
Ti8 0.103 0.500 0.381 1
Ti9 0.103 0.500 0.715 1
Ti10 0.145 0.000 0.529 1
Ti11 0.147 0.000 0.197 1
Ti12 0.147 0.000 0.863 1
Ti13 0.188 0.000 0.477 1
Ti14 0.191 0.000 0.143 1
Ti15 0.191 0.000 0.809 1
Ti16 0.229 0.500 0.268 1
Ti17 0.229 0.500 0.601 1
Ti18 0.229 0.500 0.934 1
Ti19 0.270 0.500 0.434 1
Ti20 0.273 0.500 0.100 1
Ti21 0.273 0.500 0.767 1
Ti22 0.312 0.000 0.311 1
Ti23 0.312 0.000 0.644 1
Ti24 0.312 0.000 0.977 1
Ti25 0.355 0.000 0.363 1
Ti26 0.356 0.000 0.029 1
Ti27 0.356 0.000 0.696 1
Ti28 0.398 0.500 0.215 1
Ti29 0.398 0.500 0.548 1
Ti30 0.398 0.500 0.882 1
Ti31 0.491 0.000 0.257 1
Ti32 0.491 0.000 0.590 1
Ti33 0.491 0.000 0.924 1
Ti34 0.500 0.000 0.167 1
Ti35 0.500 0.000 0.500 1
Cu1 0.000 0.500 0.500 1
Cu2 0.500 0.500 0.000 1
Cu3 0.500 0.500 0.333 1
P1 0.039 0.500 0.122 1
P2 0.039 0.500 0.456 1
P3 0.039 0.500 0.789 1
P4 0.084 0.000 0.289 1
P5 0.084 0.000 0.623 1
P6 0.084 0.000 0.956 1
P7 0.207 0.500 0.007 1
P8 0.207 0.500 0.340 1
P9 0.207 0.500 0.673 1
P10 0.248 0.000 0.069 1
P11 0.248 0.000 0.402 1
P12 0.248 0.000 0.735 1
P13 0.252 0.000 0.569 1
P14 0.253 0.000 0.236 1
P15 0.253 0.000 0.903 1
P16 0.288 0.500 0.173 1
P17 0.288 0.500 0.840 1
P18 0.293 0.500 0.506 1
P19 0.416 0.000 0.456 1
P20 0.418 0.000 0.122 1
P21 0.418 0.000 0.789 1
P22 0.461 0.500 0.289 1
P23 0.461 0.500 0.623 1
P24 0.461 0.500 0.956 1
```

Record 2
An optimized crystal structure of UCuP2, computed with PBE-GGA.

## Properties
ΔE_f, eV per atom: -0.64

Geometry as CIF:
```
data_UCuP2
_chemical_formula_sum 'U4 Cu4 P8'
_symmetry_space_group_name_H-M 'I 4/m m m'
_symmetry_Int_Tables_number 139
_symmetry_space_group_name_Hall '-I 4 2'
_cell_length_a 3.771
_cell_length_b 3.771
_cell_length_c 18.576
_cell_angle_alpha 90.00
_cell_angle_beta 90.00
_cell_angle_gamma 90.00
loop_
_atom_site_label
_atom_site_fract_x
_atom_site_fract_y
_atom_site_fract_z
_atom_site_occupancy
U1 0.000 0.000 0.109 1
Cu1 0.000 0.500 0.250 1
P1 0.000 0.000 0.332 1
P2 0.000 0.500 0.000 1
```

Record 3
An optimized crystal structure of YCuP2, computed with PBE-GGA.

## Properties
ΔE_f, eV per atom: -0.87

Geometry as CIF:
```
data_YCuP2
_chemical_formula_sum 'Y2 Cu2 P4'
_symmetry_space_group_name_H-M 'P 4/n m m'
_symmetry_Int_Tables_number 129
_cell_length_a 3.727
_cell_length_b 3.727
_cell_length_c 9.772
_cell_angle_alpha 90.00
_cell_angle_beta 90.00
_cell_angle_gamma 90.00
loop_
_symmetry_equiv_pos_as_xyz
'x,y,z'
'-x,-y,-z'
'-y+1/2,x,z'
'y+1/2,-x,-z'
'-x+1/2,-y+1/2,z'
'x+1/2,y+1/2,-z'
'y,-x+1/2,z'
'-y,x+1/2,-z'
'x+1/2,-y,-z'
'-x+1/2,y,z'
'-y,-x,-z'
'y,x,z'
'-x,y+1/2,-z'
'x,-y+1/2,z'
'y+1/2,x+1/2,-z'
'-y+1/2,-x+1/2,z'
loop_
_atom_site_label
_atom_site_fract_x
_atom_site_fract_y
_atom_site_fract_z
_atom_site_occupancy
Y1 0.250 0.250 0.232 1
Cu1 0.250 0.750 0.500 1
P1 0.250 0.250 0.655 1
P2 0.250 0.750 0.000 1
```

Record 4
An optimized crystal structure of Y6Cu15P16, computed with PBE-GGA.

## Properties
ΔE_f, eV per atom: -0.34

Geometry as CIF:
```
data_Y6Cu15P16
_chemical_formula_sum 'Y6 Cu15 P16'
_symmetry_space_group_name_H-M 'P 1 m 1'
_symmetry_Int_Tables_number 6
_cell_length_a 7.157
_cell_length_b 4.104
_cell_length_c 19.601
_cell_angle_alpha 90.00
_cell_angle_beta 96.91
_cell_angle_gamma 90.00
loop_
_symmetry_equiv_pos_as_xyz
'x,y,z'
'x,-y,z'
loop_
_atom_site_label
_atom_site_fract_x
_atom_site_fract_y
_atom_site_fract_z
_atom_site_occupancy
Y1 0.000 0.000 0.000 1
Y2 0.105 0.000 0.318 1
Y3 0.394 0.500 0.684 1
Y4 0.500 0.500 0.000 1
Y5 0.611 0.500 0.319 1
Y6 0.892 0.000 0.681 1
Cu1 0.020 0.500 0.572 1
Cu2 0.118 0.000 0.483 1
Cu3 0.134 0.500 0.900 1
Cu4 0.241 0.500 0.218 1
Cu5 0.259 0.000 0.783 1
Cu6 0.345 0.500 0.520 1
Cu7 0.366 0.000 0.101 1
Cu8 0.470 0.000 0.429 1
Cu9 0.529 0.000 0.578 1
Cu10 0.634 0.000 0.900 1
Cu11 0.687 0.500 0.479 1
Cu12 0.740 0.000 0.216 1
Cu13 0.761 0.500 0.783 1
Cu14 0.866 0.500 0.101 1
Cu15 0.983 0.500 0.423 1
P1 0.046 0.000 0.159 1
P2 0.087 0.500 0.767 1
P3 0.195 0.500 0.087 1
P4 0.203 0.000 0.597 1
P5 0.303 0.500 0.403 1
P6 0.305 0.000 0.914 1
P7 0.414 0.000 0.234 1
P8 0.456 0.500 0.842 1
P9 0.541 0.500 0.162 1
P10 0.589 0.000 0.768 1
P11 0.694 0.000 0.086 1
P12 0.696 0.500 0.595 1
P13 0.804 0.000 0.413 1
P14 0.805 0.500 0.914 1
P15 0.912 0.500 0.233 1
P16 0.956 0.000 0.839 1
```

Record 5
An optimized crystal structure of YZnCuP2, computed with PBE-GGA.

## Properties
ΔE_f, eV per atom: -0.77

Geometry as CIF:
```
data_YZnCuP2
_chemical_formula_sum 'Y1 Zn1 Cu1 P2'
_symmetry_space_group_name_H-M 'P 3 m 1'
_symmetry_Int_Tables_number 156
_cell_length_a 3.9853
_cell_length_b 3.9853
_cell_length_c 6.5516
_cell_angle_alpha 90.00
_cell_angle_beta 90.00
_cell_angle_gamma 120.00
loop_
_symmetry_equiv_pos_as_xyz
'x,y,z'
'-y,x-y,z'
'-x+y,-x,z'
'-y,-x,z'
'-x+y,y,z'
'x,x-y,z'
loop_
_atom_site_label
_atom_site_fract_x
_atom_site_fract_y
_atom_site_fract_z
_atom_site_occupancy
Y1 0.0000 0.0000 0.0000 1
Zn1 0.6667 0.3333 0.3909 1
Cu1 0.3333 0.6667 0.6543 1
P1 0.3333 0.6667 0.2710 1
P2 0.6667 0.3333 0.7604 1
```

Record 6
An optimized crystal structure of Zr4CuP, computed with PBE-GGA.

## Properties
ΔE_f, eV per atom: -0.56

Geometry as CIF:
```
data_Zr4CuP
_chemical_formula_sum 'Zr8 Cu2 P2'
_symmetry_space_group_name_H-M 'P 4/m c c'
_symmetry_Int_Tables_number 124
_symmetry_space_group_name_Hall '-P 4 2c'
_cell_length_a 6.499
_cell_length_b 6.499
_cell_length_c 5.425
_cell_angle_alpha 90.00
_cell_angle_beta 90.00
_cell_angle_gamma 90.00
loop_
_atom_site_label
_atom_site_fract_x
_atom_site_fract_y
_atom_site_fract_z
_atom_site_occupancy
Zr1 0.153 0.339 0.000 1
Cu1 0.500 0.500 0.250 1
P1 0.000 0.000 0.250 1
```